--- i ---
{
  "formula": "LiTaNbAg2O6",
  "functional": "PBE-GGA",
  "state": "relaxed",
  "total_magnetization_mub_per_cell": 0.00,
  "spacegroup": "Cmmm (65)",
  "mass_density_g_cm3": 7.25,
  "lattice_angstrom": [[2.8807, -2.8931, 0.0000], [2.8807, 2.8931, 0.0000], [0.0000, 0.0000, 8.1434]],
  "species": ["Li", "Ta", "Nb", "Ag", "Ag", "O", "O", "O", "O", "O", "O"],
  "frac_coords": [[0.0000, 0.0000, 0.0000], [0.5000, 0.5000, 0.0000], [0.5000, 0.5000, 0.5000], [0.0000, 0.0000, 0.3082], [0.0000, 0.0000, 0.6918], [0.0000, 0.5000, 0.0000], [0.0000, 0.5000, 0.5000], [0.5000, 0.0000, 0.0000], [0.5000, 0.0000, 0.5000], [0.5000, 0.5000, 0.2460], [0.5000, 0.5000, 0.7540]]
}

--- ii ---
{
  "formula": "LiTaNbAg2O6",
  "functional": "PBE-GGA",
  "state": "relaxed",
  "total_magnetization_mub_per_cell": 0.00,
  "spacegroup": "P4/mmm (123)",
  "mass_density_g_cm3": 7.24,
  "lattice_angstrom": [[4.0797, 0.0000, 0.0000], [0.0000, 4.0797, 0.0000], [0.0000, 0.0000, 8.1706]],
  "species": ["Li", "Ta", "Nb", "Ag", "Ag", "O", "O", "O", "O", "O", "O"],
  "frac_coords": [[0.0000, 0.0000, 0.0000], [0.5000, 0.5000, 0.5000], [0.5000, 0.5000, 0.0000], [0.0000, 0.0000, 0.3036], [0.0000, 0.0000, 0.6964], [0.0000, 0.5000, 0.0000], [0.0000, 0.5000, 0.5000], [0.5000, 0.0000, 0.0000], [0.5000, 0.0000, 0.5000], [0.5000, 0.5000, 0.2536], [0.5000, 0.5000, 0.7464]]
}

Stability, highest: ii